# 1
# LuTi2Ga4 | the Materials Project database | PBE-GGA | relaxed
# E = -0.189 hartree per atom
data_LuTi2Ga4
_chemical_formula_sum 'Lu2 Ti4 Ga8'
_symmetry_space_group_name_H-M 'I 4/m m m'
_symmetry_Int_Tables_number 139
_symmetry_space_group_name_Hall '-I 4 2'
_cell_length_a 6.706
_cell_length_b 6.706
_cell_length_c 5.454
_cell_angle_alpha 90.00
_cell_angle_beta 90.00
_cell_angle_gamma 90.00
loop_
_atom_site_label
_atom_site_fract_x
_atom_site_fract_y
_atom_site_fract_z
_atom_site_occupancy
Lu1 0.000 0.000 0.000 1
Ti1 0.000 0.500 0.250 1
Ga1 0.198 0.198 0.500 1

=====

# 2
# YLuGa6 | the Materials Project database | PBE-GGA | relaxed
# magnetization = 0.0 μB per cell
# E = -0.152 hartree per atom
data_YLuGa6
_chemical_formula_sum 'Y2 Lu2 Ga12'
_symmetry_space_group_name_H-M 'P 63/m m c'
_symmetry_Int_Tables_number 194
_symmetry_space_group_name_Hall '-P 6c 2c'
_cell_length_a 6.1098
_cell_length_b 6.1098
_cell_length_c 9.5505
_cell_angle_alpha 90.00
_cell_angle_beta 90.00
_cell_angle_gamma 120.00
loop_
_atom_site_label
_atom_site_fract_x
_atom_site_fract_y
_atom_site_fract_z
_atom_site_occupancy
Y1 0.3333 0.6667 0.2500 1
Lu1 0.0000 0.0000 0.0000 1
Ga1 0.0000 0.5000 0.0000 1
Ga2 0.1836 0.3672 0.7500 1

=====

# 3
# MgGa | the Materials Project database | PBE-GGA | relaxed
# magnetization = 0.0 μB per cell
# E = -0.065 hartree per atom
data_MgGa
_chemical_formula_sum 'Mg4 Ga4'
_symmetry_space_group_name_H-M 'F -4 3 m'
_symmetry_Int_Tables_number 216
_symmetry_space_group_name_Hall 'F -4 2 3'
_cell_length_a 6.288
_cell_length_b 6.288
_cell_length_c 6.288
_cell_angle_alpha 90.00
_cell_angle_beta 90.00
_cell_angle_gamma 90.00
loop_
_atom_site_label
_atom_site_fract_x
_atom_site_fract_y
_atom_site_fract_z
_atom_site_occupancy
Mg1 0.000 0.000 0.000 1
Ga1 0.250 0.250 0.750 1

=====

# 4
# MgGa2 | the Materials Project database | PBE-GGA | relaxed
# magnetization = 0.0 μB per cell
# E = -0.096 hartree per atom
data_MgGa2
_chemical_formula_sum 'Mg4 Ga8'
_symmetry_space_group_name_H-M 'C m c m'
_symmetry_Int_Tables_number 63
_symmetry_space_group_name_Hall '-C 2c 2'
_cell_length_a 9.413
_cell_length_b 4.789
_cell_length_c 5.169
_cell_angle_alpha 90.00
_cell_angle_beta 90.00
_cell_angle_gamma 90.00
loop_
_atom_site_label
_atom_site_fract_x
_atom_site_fract_y
_atom_site_fract_z
_atom_site_occupancy
Mg1 0.000 0.192 0.250 1
Ga1 0.171 0.315 0.750 1

=====

# 5
# MgGa3 | the Materials Project database | PBE-GGA | relaxed
# E = -0.101 hartree per atom
data_MgGa3
_chemical_formula_sum 'Mg1 Ga3'
_symmetry_space_group_name_H-M 'P m -3 m'
_symmetry_Int_Tables_number 221
_symmetry_space_group_name_Hall '-P 4 2 3'
_cell_length_a 4.210
_cell_length_b 4.210
_cell_length_c 4.210
_cell_angle_alpha 90.00
_cell_angle_beta 90.00
_cell_angle_gamma 90.00
loop_
_atom_site_label
_atom_site_fract_x
_atom_site_fract_y
_atom_site_fract_z
_atom_site_occupancy
Mg1 0.000 0.000 0.000 1
Ga1 0.000 0.500 0.500 1

=====

# 6
# MgGa | the Materials Project database | PBE-GGA | relaxed
# magnetization = 0.0 μB per cell
# E = -0.089 hartree per atom
data_MgGa
_chemical_formula_sum 'Mg4 Ga4'
_symmetry_space_group_name_H-M 'C 1 2/m 1'
_symmetry_Int_Tables_number 12
_cell_length_a 11.173
_cell_length_b 2.965
_cell_length_c 5.079
_cell_angle_alpha 90.00
_cell_angle_beta 112.21
_cell_angle_gamma 90.00
loop_
_symmetry_equiv_pos_as_xyz
'x,y,z'
'-x,-y,-z'
'-x,y,-z'
'x,-y,z'
'x+1/2,y+1/2,z'
'-x+1/2,-y+1/2,-z'
'-x+1/2,y+1/2,-z'
'x+1/2,-y+1/2,z'
loop_
_atom_site_label
_atom_site_fract_x
_atom_site_fract_y
_atom_site_fract_z
_atom_site_occupancy
Mg1 0.122 0.000 0.290 1
Ga1 0.126 0.500 0.789 1

=====

no.,energy relative to the elements (eV/atom)
1,-0.5204
2,-0.5008
3,0.5367
4,-0.0674
5,-0.0887
6,-0.1017